NdPO4: relaxed, PBE.

crystal system: tetragonal
DFT total energy: -7.99 eV per atom
symmetry: No. 141
energy of formation: -3448 meV per atom

abc: 5.9665 5.9665 5.9665
angles: 105.84 105.84 117.01
Atoms (fractional coordinates):
1 O 0.3453 0.1751 0.8298
2 O 0.7655 0.0953 0.6702
3 O 0.4251 0.0953 0.3298
4 Nd 0.0000 0.0000 0.0000
5 P 0.7500 0.2500 0.5000
6 P 0.5000 0.5000 0.0000
7 O 0.9047 0.5749 0.6702
8 O 0.8249 0.6547 0.1702
9 Nd 0.2500 0.7500 0.5000
10 O 0.9047 0.2345 0.3298
11 O 0.4845 0.6547 0.8298
12 O 0.3453 0.5155 0.1702

BaZn2Sn2: relaxed, PBE.

crystal system: tetragonal
DFT total energy: -2.91 eV per atom
symmetry: No. 129
energy of formation: -416 meV per atom

abc: 4.8160 4.8160 11.4188
angles: 90.00 90.00 90.00
Atoms (fractional coordinates):
1 Sn 0.0000 0.0000 0.5000
2 Zn 0.0000 0.5000 0.3643
3 Zn 0.0000 0.0000 0.0000
4 Sn 0.0000 0.5000 0.1274
5 Sn 0.5000 0.5000 0.5000
6 Sn 0.5000 0.0000 0.8726
7 Zn 0.5000 0.0000 0.6357
8 Ba 0.5000 0.0000 0.2418
9 Zn 0.5000 0.5000 0.0000
10 Ba 0.0000 0.5000 0.7582

HPb: relaxed, PBE.

crystal system: hexagonal
DFT total energy: -3.07 eV per atom
symmetry: No. 186
energy of formation: 483 meV per atom

abc: 3.5250 3.5250 7.4468
angles: 90.00 90.00 120.00
Atoms (fractional coordinates):
1 H 0.3333 0.6667 0.0365
2 Pb 0.3333 0.6667 0.3385
3 Pb 0.6667 0.3333 0.8385
4 H 0.6667 0.3333 0.5365

Sm3NbO7: relaxed, PBE.

crystal system: triclinic
DFT total energy: -8.60 eV per atom
symmetry: No. 2
relative energy among the computed polymorphs: 0.00 eV per formula unit
energy of formation: -3684 meV per atom

abc: 6.5178 6.6308 7.7534
angles: 106.75 89.71 97.10
Atoms (fractional coordinates):
1 O 0.0842 0.0496 0.2632
2 O 0.4400 0.6495 0.1653
3 Sm 0.4517 0.0080 0.2500
4 Sm 0.5483 0.9920 0.7500
5 Nb 0.0000 0.0000 0.0000
6 O 0.7110 0.0682 0.4845
7 O 0.2898 0.9306 0.9515
8 O 0.0719 0.3247 0.6085
9 Nb 0.0000 0.0000 0.5000
10 Sm 0.2602 0.5367 0.8843
11 Sm 0.7371 0.4557 0.6081
12 O 0.9281 0.6753 0.3915
13 O 0.7102 0.0694 0.0485
14 Sm 0.7398 0.4633 0.1157
15 O 0.5465 0.3634 0.3419
16 O 0.4535 0.6366 0.6581
17 O 0.2890 0.9318 0.5155
18 O 0.9255 0.6846 0.9544
19 O 0.9158 0.9504 0.7368
20 O 0.5600 0.3505 0.8347
21 Sm 0.2629 0.5443 0.3919
22 O 0.0745 0.3154 0.0456

Ba6Sm2Al4O15: relaxed, PBE.

crystal system: monoclinic
DFT total energy: -7.08 eV per atom
symmetry: No. 13
energy of formation: -3381 meV per atom

abc: 6.0174 8.0016 18.6804
angles: 91.42 90.00 90.00
Atoms (fractional coordinates):
1 Sm 0.2539 0.2484 0.4100
2 O 0.0325 0.7300 0.1928
3 Al 0.2258 0.7803 0.7339
4 O 0.2120 0.0000 0.7500
5 Ba 0.7253 0.0000 0.7500
6 O 0.9917 0.2379 0.4991
7 O 0.9917 0.7621 0.0009
8 O 0.3142 0.3048 0.6854
9 O 0.0083 0.2379 0.9991
10 Ba 0.2423 0.5025 0.9171
11 Ba 0.7577 0.5025 0.4171
12 O 0.7594 0.9409 0.8919
13 Ba 0.2575 0.9675 0.9095
14 O 0.9675 0.2700 0.8072
15 Sm 0.2539 0.7516 0.0900
16 O 0.7880 0.0000 0.2500
17 O 0.7549 0.5430 0.9060
18 Ba 0.7425 0.0325 0.0905
19 Ba 0.6682 0.5000 0.7500
20 O 0.2406 0.9409 0.3919
21 Ba 0.2423 0.4975 0.5829
22 O 0.5088 0.2357 0.5017
23 Ba 0.2747 0.0000 0.2500
24 Al 0.2477 0.2471 0.0575
25 O 0.2451 0.5430 0.4060
26 Ba 0.3318 0.5000 0.2500
27 Al 0.7742 0.7803 0.2339
28 Al 0.7523 0.2471 0.5575
29 O 0.6858 0.6952 0.3146
30 O 0.2451 0.4570 0.0940
31 O 0.7549 0.4570 0.5940
32 Al 0.2477 0.7529 0.4425
33 Sm 0.7461 0.2484 0.9100
34 Sm 0.7461 0.7516 0.5900
35 Al 0.7742 0.2197 0.2661
36 O 0.4912 0.7643 0.4983
37 O 0.9675 0.7300 0.6928
38 Ba 0.2575 0.0325 0.5905
39 O 0.4912 0.2357 0.0017
40 O 0.6858 0.3048 0.1854
41 Ba 0.7577 0.4975 0.0829
42 O 0.7594 0.0591 0.6081
43 Al 0.7523 0.7529 0.9425
44 O 0.5576 0.7514 0.1680
45 O 0.5576 0.2486 0.3320
46 O 0.0325 0.2700 0.3072
47 Ba 0.7425 0.9675 0.4095
48 O 0.4424 0.2486 0.8320
49 O 0.3142 0.6952 0.8146
50 O 0.0083 0.7621 0.5009
51 O 0.2406 0.0591 0.1081
52 O 0.5088 0.7643 0.9983
53 O 0.4424 0.7514 0.6680
54 Al 0.2258 0.2197 0.7661

Ca3ZnSe4: relaxed, PBE.

crystal system: cubic
DFT total energy: -4.11 eV per atom
symmetry: No. 215
energy of formation: -1687 meV per atom

abc: 6.3818 6.3818 6.3818
angles: 90.00 90.00 90.00
Atoms (fractional coordinates):
1 Ca 0.5000 0.0000 0.5000
2 Se 0.2301 0.7699 0.7699
3 Se 0.2301 0.2301 0.2301
4 Ca 0.0000 0.5000 0.5000
5 Ca 0.5000 0.5000 0.0000
6 Zn 0.0000 0.0000 0.0000
7 Se 0.7699 0.7699 0.2301
8 Se 0.7699 0.2301 0.7699

Nd2S3O20: relaxed, PBE.

crystal system: monoclinic
DFT total energy: -5.44 eV per atom
symmetry: No. 15
energy of formation: -1150 meV per atom

abc: 6.9228 6.9228 20.0657
angles: 81.47 81.47 60.71
Atoms (fractional coordinates):
1 O 0.9154 0.8465 0.6233
2 O 0.1831 0.8069 0.1485
3 O 0.1931 0.8169 0.3515
4 O 0.8465 0.9154 0.1233
5 O 0.6497 0.7205 0.8187
6 O 0.4126 0.6295 0.8065
7 O 0.7196 0.2968 0.4150
8 O 0.2398 0.9582 0.7220
9 O 0.3503 0.2795 0.1813
10 S 0.8072 0.7748 0.5794
11 O 0.0418 0.7602 0.7780
12 O 0.8069 0.1831 0.6485
13 S 0.2598 0.7402 0.7500
14 O 0.7602 0.0418 0.2780
15 Nd 0.1572 0.1805 0.1080
16 O 0.9582 0.2398 0.2220
17 O 0.8897 0.5331 0.5957
18 O 0.1054 0.4355 0.9053
19 Nd 0.8195 0.8428 0.3920
20 O 0.5645 0.8946 0.5947
21 O 0.7205 0.6497 0.3187
22 O 0.8242 0.8651 0.0068
23 O 0.3705 0.5874 0.6935
24 O 0.8651 0.8242 0.5068
25 O 0.1349 0.1758 0.4932
26 O 0.3737 0.3754 0.5791
27 S 0.1928 0.2252 0.4206
28 S 0.2252 0.1928 0.9206
29 O 0.5331 0.8897 0.0957
30 O 0.1535 0.0846 0.8767
31 O 0.3754 0.3737 0.0791
32 O 0.1758 0.1349 0.9932
33 O 0.4669 0.1103 0.9043
34 O 0.8169 0.1931 0.8515
35 O 0.8946 0.5645 0.0947
36 O 0.2968 0.7196 0.9150
37 O 0.5874 0.3705 0.1935
38 O 0.6246 0.6263 0.9209
39 O 0.4355 0.1054 0.4053
40 S 0.7748 0.8072 0.0794
41 S 0.7402 0.2598 0.2500
42 Nd 0.1805 0.1572 0.6080
43 O 0.6295 0.4126 0.3065
44 O 0.0846 0.1535 0.3767
45 O 0.2804 0.7032 0.5850
46 O 0.6263 0.6246 0.4209
47 O 0.1103 0.4669 0.4043
48 Nd 0.8428 0.8195 0.8920
49 O 0.2795 0.3503 0.6813
50 O 0.7032 0.2804 0.0850

Cu2Te: relaxed, PBE.

crystal system: hexagonal
DFT total energy: -3.69 eV per atom
symmetry: No. 191
energy of formation: -47 meV per atom

abc: 4.3040 4.3040 8.5235
angles: 90.00 90.00 120.00
Atoms (fractional coordinates):
1 Cu 0.6667 0.3333 0.8480
2 Te 0.0000 0.0000 0.2662
3 Cu 0.3333 0.6667 0.1520
4 Cu 0.3333 0.6667 0.8480
5 Cu 0.6667 0.3333 0.1520
6 Te 0.0000 0.0000 0.7338

In2Bi2O7: relaxed, PBE.

crystal system: monoclinic
DFT total energy: -5.54 eV per atom
symmetry: No. 4
energy of formation: -1623 meV per atom

abc: 5.5610 8.1113 14.0165
angles: 80.94 90.00 90.00
Atoms (fractional coordinates):
1 O 0.5909 0.7280 0.0893
2 Bi 0.7802 0.6205 0.3766
3 In 0.2608 0.0212 0.8867
4 O 0.4083 0.6728 0.2924
5 Bi 0.2247 0.6994 0.1440
6 Bi 0.8273 0.1664 0.4517
7 O 0.5967 0.0826 0.9664
8 Bi 0.2623 0.2336 0.0787
9 O 0.3954 0.7813 0.8691
10 O 0.4677 0.4768 0.7584
11 O 0.0629 0.0391 0.5737
12 Bi 0.7247 0.3006 0.8560
13 O 0.3922 0.4162 0.1762
14 O 0.5914 0.1990 0.5640
15 O 0.5498 0.6001 0.5388
16 In 0.7481 0.4596 0.1232
17 O 0.0914 0.8010 0.4360
18 O 0.9677 0.5232 0.2416
19 O 0.0967 0.9174 0.0336
20 O 0.9083 0.3272 0.7076
21 O 0.4377 0.0321 0.1840
22 O 0.9377 0.9679 0.8160
23 O 0.0909 0.2720 0.9107
24 Bi 0.2802 0.3795 0.6234
25 In 0.2481 0.5404 0.8768
26 O 0.8922 0.5838 0.8238
27 O 0.6244 0.3624 0.3687
28 O 0.9833 0.8473 0.2266
29 O 0.8954 0.2187 0.1309
30 O 0.5850 0.8463 0.6587
31 In 0.2737 0.9319 0.3140
32 O 0.0850 0.1537 0.3413
33 In 0.7640 0.6069 0.6725
34 In 0.7608 0.9788 0.1133
35 Bi 0.3273 0.8336 0.5483
36 In 0.7737 0.0681 0.6860
37 O 0.4833 0.1527 0.7734
38 O 0.1244 0.6376 0.6313
39 O 0.0657 0.5610 0.0353
40 In 0.2640 0.3931 0.3275
41 O 0.5629 0.9609 0.4263
42 O 0.5657 0.4390 0.9647
43 O 0.0498 0.3999 0.4612
44 Bi 0.7623 0.7664 0.9213

Ce2Ge3Rh: relaxed, PBE.

crystal system: orthorhombic
DFT total energy: -6.28 eV per atom
symmetry: No. 44
relative energy among the computed polymorphs: 0.07 eV per formula unit
energy of formation: -765 meV per atom

abc: 8.0346 8.0346 8.0346
angles: 150.60 149.10 43.18
Atoms (fractional coordinates):
1 Rh 0.9590 0.4590 0.5000
2 Ge 0.7038 0.7038 0.0000
3 Ge 0.7964 0.2964 0.5000
4 Ge 0.5392 0.5392 0.0000
5 Ce 0.1229 0.1229 0.0000
6 Ce 0.3787 0.8787 0.5000

Tl3PbI5: relaxed, PBE.

crystal system: orthorhombic
DFT total energy: -2.70 eV per atom
symmetry: No. 19
energy of formation: -862 meV per atom

abc: 9.1226 9.8332 16.5897
angles: 90.00 90.00 90.00
Atoms (fractional coordinates):
1 Pb 0.0787 0.0488 0.7946
2 Tl 0.7760 0.7035 0.4468
3 I 0.4203 0.5035 0.0275
4 I 0.2722 0.1507 0.6471
5 I 0.5850 0.1448 0.1357
6 Tl 0.2240 0.2035 0.0532
7 I 0.7278 0.6507 0.8529
8 Tl 0.4210 0.3319 0.4741
9 I 0.7277 0.7851 0.2237
10 I 0.2723 0.2851 0.2763
11 I 0.2277 0.7149 0.7763
12 Tl 0.5790 0.8319 0.0259
13 Tl 0.4380 0.4094 0.7831
14 I 0.5797 0.0035 0.4725
15 Tl 0.9210 0.1681 0.5259
16 I 0.4150 0.6448 0.3643
17 Tl 0.0790 0.6681 0.9741
18 I 0.0974 0.9408 0.3903
19 Pb 0.5787 0.4512 0.2054
20 I 0.5974 0.5592 0.6097
21 I 0.9026 0.4408 0.1097
22 I 0.9150 0.8552 0.6357
23 Tl 0.0620 0.5906 0.2831
24 I 0.0850 0.3552 0.8643
25 I 0.0797 0.4965 0.5275
26 Tl 0.7240 0.2965 0.9468
27 I 0.4026 0.0592 0.8903
28 Pb 0.4213 0.9512 0.2946
29 Pb 0.9213 0.5488 0.7054
30 Tl 0.5620 0.9094 0.7169
31 I 0.9203 0.9965 0.9725
32 I 0.2278 0.8493 0.1471
33 I 0.7723 0.2149 0.7237
34 Tl 0.9380 0.0906 0.2169
35 I 0.7722 0.3493 0.3529
36 Tl 0.2760 0.7965 0.5532

LiTi2NbCu2O9: relaxed, PBE.

crystal system: triclinic
DFT total energy: -7.49 eV per atom
symmetry: No. 1
relative energy among the computed polymorphs: 0.00 eV per formula unit
energy of formation: -2538 meV per atom

abc: 6.4751 6.5291 19.5160
angles: 109.49 109.34 109.66
Atoms (fractional coordinates):
1 O 0.6892 0.5121 0.9420
2 O 0.1316 0.8189 0.1054
3 O 0.8755 0.1811 0.2315
4 O 0.8248 0.3111 0.3771
5 O 0.8707 0.1757 0.5625
6 O 0.3101 0.1333 0.2729
7 Cu 0.9987 0.4985 0.4996
8 O 0.6951 0.8687 0.7247
9 O 0.8764 0.1855 0.8975
10 O 0.2994 0.4769 0.0593
11 O 0.6966 0.5151 0.2734
12 O 0.2990 0.1286 0.9409
13 O 0.8206 0.6959 0.1711
14 Nb 0.4901 0.0047 0.0032
15 Cu 0.9952 0.4990 0.1658
16 Ti 0.9861 0.9895 0.4981
17 O 0.5211 0.8201 0.2319
18 O 0.1752 0.6856 0.6227
19 Nb 0.4932 0.0013 0.6630
20 O 0.1790 0.3120 0.1637
21 Cu 0.4896 0.5005 0.6632
22 O 0.8163 0.2932 0.7020
23 O 0.2999 0.4766 0.7242
24 Ti 0.9973 0.4860 0.3346
25 O 0.3122 0.4920 0.3929
26 O 0.8228 0.3048 0.0418
27 Nb 0.4856 0.9978 0.3318
28 Li 0.9304 0.8890 0.3250
29 O 0.8208 0.7103 0.8417
30 O 0.1846 0.3117 0.4961
31 Ti 0.9826 0.5083 0.6644
32 Nb 0.5118 0.5095 0.8335
33 O 0.1727 0.2864 0.8215
34 O 0.6901 0.8686 0.0607
35 Cu 0.4978 0.4988 0.0021
36 Ti 0.4782 0.4902 0.1660
37 Li 0.9686 0.0515 0.9767
38 O 0.6994 0.8732 0.3910
39 Li 0.9870 0.0874 0.6794
40 Ti 0.0001 0.0090 0.8287
41 Cu 0.5038 0.5023 0.3327
42 O 0.6893 0.5128 0.6060
43 O 0.1705 0.6937 0.2897
44 O 0.1250 0.8203 0.4337
45 O 0.1801 0.6984 0.9614
46 O 0.5117 0.8239 0.8985
47 Cu 0.4973 0.9970 0.4988
48 O 0.1283 0.8112 0.7700
49 Ti 0.0069 0.5179 0.0028
50 O 0.3024 0.1310 0.6062
51 O 0.4895 0.1810 0.4374
52 O 0.4926 0.1847 0.1070
53 Ti 0.4855 0.4934 0.4960
54 Cu 0.5035 0.0014 0.8342
55 O 0.5105 0.8152 0.5616
56 Ti 0.9850 0.9846 0.1652
57 Li 0.9962 0.4984 0.8322
58 O 0.8193 0.6905 0.5018
59 Cu 0.5041 0.0019 0.1696
60 O 0.5032 0.1817 0.7717

Copy entry 8 word for word.
Cu2Te: relaxed, PBE.

crystal system: hexagonal
DFT total energy: -3.69 eV per atom
symmetry: No. 191
energy of formation: -47 meV per atom

abc: 4.3040 4.3040 8.5235
angles: 90.00 90.00 120.00
Atoms (fractional coordinates):
1 Cu 0.6667 0.3333 0.8480
2 Te 0.0000 0.0000 0.2662
3 Cu 0.3333 0.6667 0.1520
4 Cu 0.3333 0.6667 0.8480
5 Cu 0.6667 0.3333 0.1520
6 Te 0.0000 0.0000 0.7338